First-principles (PBE) data for CeMgS3 after structural relaxation, as listed in Materials Project.

Structure (POSCAR):
```
CeMgS3
1.0
6.846 0.000 0.000
-3.423 5.928 0.000
0.000 0.000 17.555
S Mg Ce
18 6 6
Cartesian
1.365 1.877 1.464
-2.308 4.196 13.167
4.366 3.808 1.464
1.365 5.829 13.167
0.943 1.832 13.167
2.058 0.099 4.388
2.058 4.052 16.091
0.943 5.784 7.315
-2.058 3.853 7.315
2.480 0.144 10.239
-1.115 5.685 16.091
-0.943 2.120 16.091
4.538 0.243 1.464
5.731 1.733 4.388
1.115 2.220 7.315
2.480 4.096 4.388
5.481 2.075 10.239
2.308 3.709 10.239
0.000 0.000 14.851
0.000 3.952 8.999
3.423 1.976 8.555
0.000 0.000 2.704
0.000 3.952 14.407
3.423 1.976 3.148
0.000 3.952 5.491
3.423 1.976 17.194
0.000 0.000 11.343
3.423 1.976 12.063
0.000 0.000 6.212
0.000 3.952 0.360
```

Values from the calculation:
- magnetic moment (μB/f.u.) = 0.00
- volume (Å³/atom) = 23.7
- energy of formation (eV per atom) = -1.83